No. 1
This record from Materials Project describes an optimized crystal structure of FePb2Cl3O5. The functional is GGA+U.

POSCAR file:
```
FePb2Cl3O5
1.0
6.109 0.000 0.000
0.000 6.930 0.000
0.000 3.099 9.351
O Cl Pb Fe
10 6 4 2
Direct
0.740 0.683 0.507
0.747 0.334 0.488
0.478 0.376 0.704
0.011 0.391 0.704
0.978 0.624 0.296
0.240 0.317 0.493
0.438 0.854 0.727
0.511 0.609 0.296
0.247 0.666 0.512
0.938 0.146 0.273
0.708 0.889 0.020
0.208 0.111 0.980
0.418 0.109 0.308
0.918 0.891 0.692
0.679 0.421 0.970
0.179 0.579 0.030
0.251 0.582 0.779
0.242 0.106 0.730
0.742 0.894 0.270
0.751 0.418 0.221
0.996 0.503 0.500
0.496 0.497 0.500
```

Computed properties:
M_tot: 0.273 μB/atom
VASP energy: -4.49 eV/atom
symmetry: P2_1
formation energy: -0.807 eV/atom

No. 2
This record from Materials Project describes an optimized crystal structure of Rb2FeCl5O. The functional is GGA+U.

POSCAR file:
```
Rb2FeCl5O
1.0
7.461 0.000 0.000
0.000 10.478 0.000
0.000 0.000 13.855
Cl O Fe Rb
20 4 4 8
Direct
0.693 0.475 0.396
0.400 0.750 0.259
0.307 0.975 0.604
0.536 0.250 0.999
0.807 0.475 0.896
0.076 0.250 0.789
0.924 0.750 0.211
0.600 0.250 0.741
0.807 0.025 0.896
0.424 0.250 0.289
0.900 0.250 0.241
0.693 0.025 0.396
0.576 0.750 0.711
0.307 0.525 0.604
0.464 0.750 0.001
0.036 0.750 0.501
0.193 0.525 0.104
0.100 0.750 0.759
0.193 0.975 0.104
0.964 0.250 0.499
0.991 0.250 0.955
0.009 0.750 0.045
0.509 0.250 0.455
0.491 0.750 0.545
0.238 0.750 0.117
0.262 0.750 0.617
0.762 0.250 0.883
0.738 0.250 0.383
0.326 0.496 0.863
0.826 0.996 0.637
0.174 0.496 0.363
0.826 0.504 0.637
0.326 0.004 0.863
0.674 0.996 0.137
0.674 0.504 0.137
0.174 0.004 0.363
```

Computed properties:
M_tot: 0.778 μB/atom
VASP energy: -3.52 eV/atom
symmetry: Pnma
formation energy: -1.115 eV/atom

No. 3
This record from Materials Project describes an optimized crystal structure of Fe7Sb10Cl8O18. The functional is GGA+U.

POSCAR file:
```
Fe7Sb10Cl8O18
1.0
-3.203 7.823 -5.043
-3.819 -2.140 -9.073
-9.911 1.778 0.404
O Cl Fe Sb
18 8 7 10
Direct
0.568 0.077 0.546
0.058 0.390 0.090
0.860 0.344 0.964
0.990 0.821 0.260
0.098 0.504 0.343
0.726 0.026 0.271
0.398 0.094 0.853
0.241 0.295 0.704
0.010 0.179 0.740
0.942 0.610 0.910
0.432 0.923 0.454
0.274 0.974 0.729
0.236 0.203 0.443
0.902 0.496 0.657
0.764 0.797 0.557
0.140 0.656 0.036
0.602 0.906 0.147
0.759 0.705 0.296
0.427 0.278 0.077
0.573 0.722 0.923
0.468 0.390 0.367
0.140 0.677 0.559
0.860 0.323 0.441
0.775 0.981 0.780
0.225 0.019 0.220
0.532 0.610 0.633
0.500 0.000 0.000
0.145 0.295 0.269
0.838 0.588 0.469
0.162 0.412 0.531
0.484 0.136 0.359
0.516 0.864 0.641
0.855 0.705 0.731
0.831 0.972 0.426
0.801 0.346 0.794
0.519 0.766 0.327
0.161 0.130 0.868
0.173 0.519 0.912
0.169 0.028 0.574
0.827 0.481 0.088
0.839 0.870 0.132
0.199 0.654 0.206
0.481 0.234 0.673
```

Computed properties:
M_tot: 0.651 μB/atom
VASP energy: -5.64 eV/atom
symmetry: P-1
formation energy: -1.536 eV/atom

No. 4
This record from Materials Project describes an optimized crystal structure of FeSbCl8O8. The functional is GGA+U.

POSCAR file:
```
FeSbCl8O8
1.0
-6.834 2.990 0.441
-2.406 -6.692 4.789
2.996 4.562 7.250
O Cl Sb Fe
8 8 1 1
Direct
0.513 0.979 0.557
0.959 0.485 0.603
0.007 0.442 0.389
0.890 0.223 0.008
0.768 0.115 0.998
0.494 0.999 0.424
0.018 0.780 0.017
0.250 0.983 0.992
0.494 0.503 0.761
0.755 0.700 0.533
0.273 0.300 0.472
0.018 0.961 0.250
0.042 0.994 0.753
0.727 0.304 0.505
0.519 0.522 0.242
0.266 0.698 0.496
0.499 0.515 0.501
0.007 0.997 0.001
```

Computed properties:
M_tot: 0.833 μB/atom
VASP energy: -3.42 eV/atom
symmetry: P1
formation energy: 0.107 eV/atom
relative energy among the computed polymorphs: 0 meV per atom

No. 5
This record from Materials Project describes an optimized crystal structure of FeSbCl8O8. The functional is GGA+U.

POSCAR file:
```
FeSbCl8O8
1.0
6.910 0.000 0.000
0.000 6.910 0.000
0.000 0.000 8.877
O Cl Fe Sb
8 8 1 1
Direct
0.000 0.737 0.000
0.500 0.000 0.687
0.000 0.263 0.000
0.000 0.500 0.313
0.000 0.500 0.687
0.500 0.000 0.313
0.737 0.000 0.000
0.263 0.000 0.000
0.250 0.750 0.500
0.250 0.250 0.500
0.000 0.000 0.248
0.500 0.500 0.234
0.750 0.250 0.500
0.000 0.000 0.752
0.500 0.500 0.766
0.750 0.750 0.500
0.000 0.000 0.000
0.500 0.500 0.500
```

Computed properties:
M_tot: 0.947 μB/atom
VASP energy: -2.86 eV/atom
symmetry: P4/mmm
formation energy: 0.431 eV/atom
relative energy among the computed polymorphs: 323 meV per atom

No. 6
This record from Materials Project describes an optimized crystal structure of YFe3Se2ClO8. The functional is GGA+U.

POSCAR file:
```
YFe3Se2ClO8
1.0
6.516 0.000 0.000
0.000 7.259 0.000
0.000 0.000 9.673
Fe O Cl Se Y
6 16 2 4 2
Direct
0.250 0.500 0.750
0.750 0.500 0.750
0.250 0.500 0.250
0.750 0.500 0.250
0.000 0.701 0.000
0.500 0.299 0.500
0.792 0.771 0.341
0.708 0.229 0.841
0.000 0.491 0.863
0.500 0.509 0.363
0.500 0.076 0.367
0.000 0.924 0.867
0.208 0.771 0.659
0.500 0.076 0.633
0.208 0.771 0.341
0.000 0.924 0.133
0.792 0.771 0.659
0.000 0.491 0.137
0.500 0.509 0.637
0.292 0.229 0.159
0.292 0.229 0.841
0.708 0.229 0.159
0.000 0.372 0.500
0.500 0.628 0.000
0.500 0.086 0.813
0.500 0.086 0.187
0.000 0.914 0.313
0.000 0.914 0.687
0.500 0.772 0.500
0.000 0.228 0.000
```

Computed properties:
M_tot: 0.800 μB/atom
VASP energy: -6.34 eV/atom
symmetry: Pmmn
formation energy: -1.806 eV/atom

No. 7
This record from Materials Project describes an optimized crystal structure of Sr4Fe3ClO8. The functional is GGA+U.

POSCAR file:
```
Sr4Fe3ClO8
1.0
-0.281 2.214 3.284
2.405 -2.520 1.905
12.397 8.370 -4.580
O Sr Fe Cl
8 4 3 1
Direct
0.000 0.500 0.788
0.500 0.000 0.212
0.500 0.000 0.500
0.000 0.500 0.500
0.500 0.000 0.788
0.500 0.500 0.365
0.000 0.500 0.212
0.500 0.500 0.635
0.000 0.000 0.612
0.000 0.000 0.875
0.000 0.000 0.125
0.000 0.000 0.388
0.500 0.500 0.246
0.500 0.500 0.500
0.500 0.500 0.754
0.500 0.500 0.000
```

Computed properties:
M_tot: 0.937 μB/atom
VASP energy: -6.23 eV/atom
symmetry: P4/mmm
formation energy: -2.393 eV/atom

No. 8
This record from Materials Project describes an optimized crystal structure of Sr3Fe2Cl2O4. The functional is GGA+U.

POSCAR file:
```
Sr3Fe2Cl2O4
1.0
3.594 -2.190 -3.946
0.616 5.235 -2.345
10.611 0.955 4.918
Cl O Sr Fe
4 8 6 4
Direct
0.705 0.000 0.590
0.295 0.000 0.410
0.205 0.500 0.590
0.795 0.500 0.410
0.172 0.750 0.155
0.328 0.750 0.845
0.172 0.250 0.155
0.672 0.250 0.155
0.328 0.250 0.845
0.828 0.250 0.845
0.828 0.750 0.845
0.672 0.750 0.155
0.000 0.000 0.000
0.348 0.500 0.304
0.848 0.000 0.304
0.500 0.500 0.000
0.652 0.500 0.696
0.152 0.000 0.696
0.075 0.500 0.849
0.925 0.500 0.151
0.425 0.000 0.151
0.575 0.000 0.849
```

Computed properties:
M_tot: 0.000 μB/atom
VASP energy: -5.84 eV/atom
formation energy: -2.360 eV/atom